[1]
# PBE+U SrCaVP2O8, optimized geometry
# DFT formation energy: -70.50 kcal/mol of atoms
# Electronic total energy: -7.364 eV/atom
data_SrCaVP2O8
_space_group_name_H-M_alt 'P -1'
_space_group_IT_number 2
_cell_length_a 5.7450
_cell_length_b 6.9815
_cell_length_c 9.6376
_cell_angle_alpha 109.92
_cell_angle_beta 101.07
_cell_angle_gamma 98.27
loop_
_space_group_symop_operation_xyz
'x,y,z'
'-x,-y,-z'
loop_
_atom_site_label
_atom_site_fract_x
_atom_site_fract_y
_atom_site_fract_z
Sr1 0.2412 0.1930 0.4453
Ca1 0.4996 0.4185 0.1613
V1 0.1529 0.8524 0.0636
P1 0.1099 0.5847 0.2768
P2 0.3382 0.0300 0.7977
O1 0.0837 0.4189 0.1135
O2 0.1231 0.4501 0.6691
O3 0.1368 0.9689 0.8744
O4 0.1645 0.8053 0.2713
O5 0.2273 0.0069 0.6348
O6 0.3367 0.5549 0.3796
O7 0.4687 0.1094 0.2022
O8 0.4919 0.2580 0.9060

=====

[2]
# PBE+U CaTiP3WO12, optimized geometry
# DFT formation energy: -66.26 kcal/mol of atoms
# Electronic total energy: -7.639 eV/atom
data_CaTiP3WO12
_space_group_name_H-M_alt 'R 3 c'
_space_group_IT_number 161
_space_group_name_Hall 'R 3 -2"c'
_cell_length_a 8.8011
_cell_length_b 8.8011
_cell_length_c 22.2396
_cell_angle_alpha 90.00
_cell_angle_beta 90.00
_cell_angle_gamma 120.00
loop_
_atom_site_label
_atom_site_fract_x
_atom_site_fract_y
_atom_site_fract_z
Ca1 0.0000 0.0000 0.0000
Ti1 0.0000 0.0000 0.3510
P1 0.0454 0.3697 0.4161
W1 0.0000 0.0000 0.1441
O1 0.0017 0.2031 0.6920
O2 0.0312 0.1860 0.4177
O3 0.1532 0.4746 0.7492
O4 0.1544 0.4734 0.4733

=====

[3]
# PBE+U CaV3P4O14, optimized geometry
# DFT formation energy: -63.49 kcal/mol of atoms
# Electronic total energy: -7.547 eV/atom
data_CaV3P4O14
_space_group_name_H-M_alt 'P 1 21/c 1'
_space_group_IT_number 14
_cell_length_a 7.6085
_cell_length_b 7.8630
_cell_length_c 9.6184
_cell_angle_alpha 90.00
_cell_angle_beta 111.80
_cell_angle_gamma 90.00
loop_
_space_group_symop_operation_xyz
'x,y,z'
'-x,-y,-z'
'-x,y+1/2,-z+1/2'
'x,-y+1/2,z+1/2'
loop_
_atom_site_label
_atom_site_fract_x
_atom_site_fract_y
_atom_site_fract_z
Ca1 0.0000 0.0000 0.0000
V1 0.3117 0.1290 0.4745
V2 0.5000 0.0000 0.0000
P1 0.0998 0.0641 0.7058
P2 0.3758 0.7032 0.1889
O1 0.0976 0.5222 0.7992
O2 0.1192 0.1908 0.5921
O3 0.1773 0.6183 0.1765
O4 0.2247 0.1158 0.8702
O5 0.3219 0.6276 0.6061
O6 0.4664 0.5806 0.1110
O7 0.4889 0.7138 0.3577

=====

[4]
# PBE+U CaV4P4O20, optimized geometry
# DFT formation energy: -59.93 kcal/mol of atoms
# Electronic total energy: -7.372 eV/atom
data_CaV4P4O20
_space_group_name_H-M_alt 'P -1'
_space_group_IT_number 2
_cell_length_a 5.2990
_cell_length_b 7.3493
_cell_length_c 10.3686
_cell_angle_alpha 70.80
_cell_angle_beta 75.63
_cell_angle_gamma 69.69
loop_
_space_group_symop_operation_xyz
'x,y,z'
'-x,-y,-z'
loop_
_atom_site_label
_atom_site_fract_x
_atom_site_fract_y
_atom_site_fract_z
Ca1 0.0000 0.0000 0.0000
V1 0.0000 0.0000 0.5000
V2 0.0638 0.7071 0.2812
V3 0.5000 0.5000 0.0000
P1 0.3146 0.5781 0.7047
P2 0.4173 0.0401 0.2141
O1 0.0128 0.1891 0.5748
O2 0.1242 0.4856 0.6732
O3 0.2147 0.6489 0.0964
O4 0.2343 0.8044 0.6282
O5 0.2498 0.9372 0.1729
O6 0.2745 0.5540 0.8630
O7 0.2776 0.0832 0.7992
O8 0.3096 0.0472 0.3662
O9 0.3875 0.5147 0.3505
O10 0.3900 0.2509 0.1121

=====

[5]
# PBE+U Ca2VP3O11, optimized geometry
# DFT formation energy: -69.92 kcal/mol of atoms
# Electronic total energy: -7.415 eV/atom
data_Ca2VP3O11
_space_group_name_H-M_alt 'P 1 21/c 1'
_space_group_IT_number 14
_cell_length_a 6.4884
_cell_length_b 6.7456
_cell_length_c 19.3716
_cell_angle_alpha 90.00
_cell_angle_beta 99.24
_cell_angle_gamma 90.00
loop_
_space_group_symop_operation_xyz
'x,y,z'
'-x,-y,-z'
'-x,y+1/2,-z+1/2'
'x,-y+1/2,z+1/2'
loop_
_atom_site_label
_atom_site_fract_x
_atom_site_fract_y
_atom_site_fract_z
Ca1 0.1689 0.1448 0.0777
Ca2 0.1703 0.0106 0.7723
V1 0.4469 0.6445 0.1221
P1 0.0718 0.1544 0.4120
P2 0.3154 0.5114 0.7264
P3 0.3281 0.7048 0.9515
O1 0.0311 0.1746 0.9588
O2 0.1321 0.5596 0.1254
O3 0.1737 0.6671 0.7513
O4 0.1859 0.1751 0.2033
O5 0.1884 0.5119 0.9650
O6 0.1909 0.6584 0.4029
O7 0.2260 0.2028 0.3613
O8 0.4065 0.7190 0.5258
O9 0.4078 0.5802 0.6593
O10 0.4821 0.1283 0.5814
O11 0.4863 0.5346 0.2191

=====

[6]
# PBE+U CaVP4O12, optimized geometry
# DFT formation energy: -64.59 kcal/mol of atoms
# Electronic total energy: -7.366 eV/atom
data_CaVP4O12
_space_group_name_H-M_alt 'C 1 2/c 1'
_space_group_IT_number 15
_cell_length_a 12.4172
_cell_length_b 8.7788
_cell_length_c 10.3837
_cell_angle_alpha 90.00
_cell_angle_beta 118.63
_cell_angle_gamma 90.00
loop_
_space_group_symop_operation_xyz
'x,y,z'
'-x,-y,-z'
'-x,y,-z+1/2'
'x,-y,z+1/2'
'x+1/2,y+1/2,z'
'-x+1/2,-y+1/2,-z'
'-x+1/2,y+1/2,-z+1/2'
'x+1/2,-y+1/2,z+1/2'
loop_
_atom_site_label
_atom_site_fract_x
_atom_site_fract_y
_atom_site_fract_z
Ca1 0.0000 0.0444 0.2500
V1 0.2500 0.2500 0.5000
P1 0.0052 0.2757 0.9761
P2 0.1885 0.4917 0.1928
O1 0.0298 0.1388 0.9111
O2 0.0541 0.2531 0.4266
O3 0.0737 0.3965 0.6532
O4 0.1333 0.3641 0.0652
O5 0.2158 0.0774 0.3304
O6 0.2268 0.4224 0.3388

=====

[7]
# PBE+U CaV2P2O9, optimized geometry
# DFT formation energy: -66.91 kcal/mol of atoms
# Electronic total energy: -7.612 eV/atom
data_CaV2P2O9
_space_group_name_H-M_alt 'P n m a'
_space_group_IT_number 62
_cell_length_a 14.3639
_cell_length_b 6.5440
_cell_length_c 7.4730
_cell_angle_alpha 90.00
_cell_angle_beta 90.00
_cell_angle_gamma 90.00
loop_
_space_group_symop_operation_xyz
'x,y,z'
'-x,-y,-z'
'-x+1/2,-y,z+1/2'
'x+1/2,y,-z+1/2'
'x+1/2,-y+1/2,-z+1/2'
'-x+1/2,y+1/2,z+1/2'
'-x,y+1/2,-z'
'x,-y+1/2,z'
loop_
_atom_site_label
_atom_site_fract_x
_atom_site_fract_y
_atom_site_fract_z
Ca1 0.2214 0.2500 0.1116
V1 0.0000 0.0000 0.0000
V2 0.1188 0.2500 0.6484
P1 0.0671 0.7500 0.6406
P2 0.1919 0.7500 0.1111
O1 0.0084 0.2500 0.5014
O2 0.0177 0.7500 0.8271
O3 0.0543 0.2500 0.8757
O4 0.1303 0.5543 0.1053
O5 0.1331 0.5646 0.6305
O6 0.2343 0.2500 0.4588
O7 0.2483 0.2500 0.7846

=====

[8]
# PBE+U CaV4P4O20, optimized geometry
# DFT formation energy: -59.21 kcal/mol of atoms
# Electronic total energy: -7.341 eV/atom
data_CaV4P4O20
_space_group_name_H-M_alt 'P -1'
_space_group_IT_number 2
_cell_length_a 5.4016
_cell_length_b 7.3520
_cell_length_c 10.3514
_cell_angle_alpha 98.87
_cell_angle_beta 104.94
_cell_angle_gamma 111.55
loop_
_space_group_symop_operation_xyz
'x,y,z'
'-x,-y,-z'
loop_
_atom_site_label
_atom_site_fract_x
_atom_site_fract_y
_atom_site_fract_z
Ca1 0.0000 0.0000 0.0000
V1 0.2822 0.7499 0.2587
V2 0.5000 0.0000 0.0000
V3 0.5000 0.5000 0.5000
P1 0.0473 0.9383 0.6845
P2 0.4045 0.5441 0.8045
O1 0.1122 0.4344 0.8217
O2 0.1427 0.9039 0.8305
O3 0.1441 0.2726 0.4226
O4 0.1436 0.9471 0.3174
O5 0.2945 0.8597 0.0951
O6 0.3111 0.0460 0.6479
O7 0.3331 0.6575 0.3993
O8 0.3797 0.5763 0.6590
O9 0.4107 0.5748 0.1615
O10 0.4432 0.2496 0.0814

=====

[9]
# PBE+U CaP2W2O10, optimized geometry
# DFT formation energy: -59.45 kcal/mol of atoms
# Electronic total energy: -7.410 eV/atom
data_CaP2W2O10
_space_group_name_H-M_alt 'F d d d'
_space_group_IT_number 70
_cell_length_a 7.6070
_cell_length_b 12.3725
_cell_length_c 16.1630
_cell_angle_alpha 90.00
_cell_angle_beta 90.00
_cell_angle_gamma 90.00
loop_
_space_group_symop_operation_xyz
'x,y,z'
'-x,-y,-z'
'-x+1/4,-y+1/4,z'
'x+1/4,y+1/4,-z'
'x,-y+1/4,-z+1/4'
'-x,y+1/4,z+1/4'
'-x+1/4,y,-z+1/4'
'x+1/4,-y,z+1/4'
'x,y+1/2,z+1/2'
'-x,-y+1/2,-z+1/2'
'-x+1/4,-y+3/4,z+1/2'
'x+1/4,y+3/4,-z+1/2'
'x,-y+3/4,-z+3/4'
'-x,y+3/4,z+3/4'
'-x+1/4,y+1/2,-z+3/4'
'x+1/4,-y+1/2,z+3/4'
'x+1/2,y,z+1/2'
'-x+1/2,-y,-z+1/2'
'-x+3/4,-y+1/4,z+1/2'
'x+3/4,y+1/4,-z+1/2'
'x+1/2,-y+1/4,-z+3/4'
'-x+1/2,y+1/4,z+3/4'
'-x+3/4,y,-z+3/4'
'x+3/4,-y,z+3/4'
'x+1/2,y+1/2,z'
'-x+1/2,-y+1/2,-z'
'-x+3/4,-y+3/4,z'
'x+3/4,y+3/4,-z'
'x+1/2,-y+3/4,-z+1/4'
'-x+1/2,y+3/4,z+1/4'
'-x+3/4,y+1/2,-z+1/4'
'x+3/4,-y+1/2,z+1/4'
loop_
_atom_site_label
_atom_site_fract_x
_atom_site_fract_y
_atom_site_fract_z
Ca1 0.1250 0.1250 0.1250
P1 0.1250 0.1250 0.3296
W1 0.0000 0.0000 0.5000
O1 0.0328 0.3585 0.5217
O2 0.0972 0.0240 0.8635
O3 0.1250 0.1250 0.5396